MgTi3S6 | GGA-PBE | optimized geometry

magnetization = 1.94 μB per cell
total energy after the MP2020 corrections = -6.5938 eV/atom
space-group type = No. 164
total energy = -6.29 eV/atom
excess energy over the best structure of this formula in the dataset = 0.001 eV/atom

Cell and atoms, written as CIF:
```
data_MgTi3S6
_symmetry_space_group_name_H-M 'P 1'
_symmetry_Int_Tables_number 1
_cell_length_a 3.499
_cell_length_b 3.499
_cell_length_c 21.003
_cell_angle_alpha 90.00
_cell_angle_beta 90.00
_cell_angle_gamma 120.01
loop_
_symmetry_equiv_pos_as_xyz
'x,y,z'
loop_
_atom_site_label
_atom_site_type_symbol
_atom_site_fract_x
_atom_site_fract_y
_atom_site_fract_z
S1 S 0.667 0.333 0.575
S2 S 0.333 0.667 0.715
S3 S 0.666 0.333 0.285
S4 S 0.333 0.667 0.066
S5 S 0.333 0.667 0.425
S6 S 0.666 0.333 0.934
Mg1 Mg 0.000 0.000 0.500
Ti1 Ti 0.000 0.000 0.653
Ti2 Ti 0.001 0.000 0.000
Ti3 Ti 0.000 0.000 0.347
```



MgTe2MoW2Se2S2 | GGA-PBE | optimized geometry

magnetization = 0.02 μB per cell
total energy after the MP2020 corrections = -6.4747 eV/atom
space-group type = No. 8
total energy = -6.37 eV/atom
excess energy over the best structure of this formula in the dataset = 0.019 eV/atom

Cell and atoms, written as CIF:
```
data_MgTe2MoW2Se2S2
_symmetry_space_group_name_H-M 'P 1'
_symmetry_Int_Tables_number 1
_cell_length_a 3.347
_cell_length_b 3.348
_cell_length_c 36.979
_cell_angle_alpha 90.00
_cell_angle_beta 89.83
_cell_angle_gamma 120.01
loop_
_symmetry_equiv_pos_as_xyz
'x,y,z'
loop_
_atom_site_label
_atom_site_type_symbol
_atom_site_fract_x
_atom_site_fract_y
_atom_site_fract_z
Se1 Se 0.331 0.665 0.396
Se2 Se 0.335 0.668 0.306
S1 S 0.666 0.333 0.065
S2 S 0.661 0.330 0.148
Mg1 Mg 0.331 0.665 0.229
Te1 Te 0.664 0.332 0.630
Te2 Te 0.670 0.335 0.527
W1 W 0.330 0.665 0.106
W2 W 0.334 0.667 0.578
Mo1 Mo 0.666 0.333 0.351
```



LiH3CO3 | GGA-PBE | optimized geometry

magnetization = 0.00 μB per cell
total energy after the MP2020 corrections = -6.0147 eV/atom
space-group type = No. 33
largest piezoelectric modulus = 0.164 C/m²
total energy = -5.76 eV/atom

Cell and atoms, written as CIF:
```
data_LiH3CO3
_symmetry_space_group_name_H-M 'P 1'
_symmetry_Int_Tables_number 1
_cell_length_a 4.859
_cell_length_b 6.615
_cell_length_c 10.056
_cell_angle_alpha 90.00
_cell_angle_beta 90.00
_cell_angle_gamma 90.00
loop_
_symmetry_equiv_pos_as_xyz
'x,y,z'
loop_
_atom_site_label
_atom_site_type_symbol
_atom_site_fract_x
_atom_site_fract_y
_atom_site_fract_z
H1 H 0.124 0.894 0.370
H2 H 0.843 0.476 0.023
H3 H 0.843 0.024 0.523
H4 H 0.343 0.976 0.477
H5 H 0.125 0.161 0.715
H6 H 0.125 0.339 0.215
H7 H 0.343 0.524 0.977
H8 H 0.625 0.839 0.285
H9 H 0.624 0.394 0.130
H10 H 0.625 0.661 0.785
H11 H 0.124 0.606 0.870
H12 H 0.624 0.106 0.630
C1 C 0.247 0.387 0.302
C2 C 0.747 0.613 0.698
C3 C 0.247 0.113 0.802
C4 C 0.747 0.887 0.198
O1 O 0.618 0.922 0.090
O2 O 0.506 0.401 0.288
O3 O 0.674 0.394 0.033
O4 O 0.006 0.599 0.712
O5 O 0.118 0.422 0.410
O6 O 0.174 0.894 0.467
O7 O 0.506 0.099 0.788
O8 O 0.174 0.606 0.967
O9 O 0.674 0.106 0.533
O10 O 0.006 0.901 0.212
O11 O 0.618 0.578 0.590
O12 O 0.118 0.078 0.910
Li1 Li 0.730 0.381 0.451
Li2 Li 0.230 0.619 0.549
Li3 Li 0.730 0.119 0.951
Li4 Li 0.230 0.881 0.049
```



Ti2FeOs | GGA-PBE | optimized geometry

space-group type = No. 225
total energy = -9.44 eV/atom

Cell and atoms, written as CIF:
```
data_Ti2FeOs
_symmetry_space_group_name_H-M 'P 1'
_symmetry_Int_Tables_number 1
_cell_length_a 4.298
_cell_length_b 4.298
_cell_length_c 4.298
_cell_angle_alpha 60.00
_cell_angle_beta 60.00
_cell_angle_gamma 60.00
loop_
_symmetry_equiv_pos_as_xyz
'x,y,z'
loop_
_atom_site_label
_atom_site_type_symbol
_atom_site_fract_x
_atom_site_fract_y
_atom_site_fract_z
Os1 Os 0.000 0.000 0.000
Ti1 Ti 0.750 0.750 0.750
Ti2 Ti 0.250 0.250 0.250
Fe1 Fe 0.500 0.500 0.500
```



Sm3GeO8 | GGA-PBE | optimized geometry

magnetization = 6.00 μB per cell
total energy after the MP2020 corrections = -7.6924 eV/atom
space-group type = No. 11
total energy = -7.23 eV/atom

Cell and atoms, written as CIF:
```
data_Sm3GeO8
_symmetry_space_group_name_H-M 'P 1'
_symmetry_Int_Tables_number 1
_cell_length_a 10.486
_cell_length_b 5.464
_cell_length_c 6.309
_cell_angle_alpha 74.25
_cell_angle_beta 90.00
_cell_angle_gamma 90.00
loop_
_symmetry_equiv_pos_as_xyz
'x,y,z'
loop_
_atom_site_label
_atom_site_type_symbol
_atom_site_fract_x
_atom_site_fract_y
_atom_site_fract_z
O1 O 0.132 0.544 0.041
O2 O 0.868 0.456 0.959
O3 O 0.750 0.004 0.287
O4 O 0.250 0.429 0.608
O5 O 0.368 0.544 0.041
O6 O 0.626 0.016 0.882
O7 O 0.374 0.984 0.118
O8 O 0.250 0.996 0.713
O9 O 0.531 0.704 0.564
O10 O 0.874 0.016 0.882
O11 O 0.969 0.704 0.564
O12 O 0.750 0.571 0.392
O13 O 0.031 0.296 0.436
O14 O 0.469 0.296 0.436
O15 O 0.126 0.984 0.118
O16 O 0.632 0.456 0.959
Sm1 Sm 0.549 0.685 0.201
Sm2 Sm 0.951 0.685 0.201
Sm3 Sm 0.250 0.211 0.325
Sm4 Sm 0.049 0.315 0.799
Sm5 Sm 0.451 0.315 0.799
Sm6 Sm 0.750 0.789 0.675
Ge1 Ge 0.250 0.808 0.000
Ge2 Ge 0.750 0.192 0.000
```



SiO2 | GGA-PBE | optimized geometry

total energy after the MP2020 corrections = -8.3641 eV/atom
space-group type = No. 63
total energy = -7.91 eV/atom

Cell and atoms, written as CIF:
```
data_SiO2
_symmetry_space_group_name_H-M 'P 1'
_symmetry_Int_Tables_number 1
_cell_length_a 7.104
_cell_length_b 7.104
_cell_length_c 9.057
_cell_angle_alpha 90.00
_cell_angle_beta 90.00
_cell_angle_gamma 94.46
loop_
_symmetry_equiv_pos_as_xyz
'x,y,z'
loop_
_atom_site_label
_atom_site_type_symbol
_atom_site_fract_x
_atom_site_fract_y
_atom_site_fract_z
O1 O 0.328 0.070 0.750
O2 O 0.500 0.000 0.500
O3 O 0.841 0.159 0.453
O4 O 0.000 0.500 0.000
O5 O 0.930 0.672 0.750
O6 O 0.841 0.159 0.047
O7 O 0.788 0.788 0.000
O8 O 0.500 0.000 0.000
O9 O 0.000 0.500 0.500
O10 O 0.159 0.841 0.953
O11 O 0.672 0.930 0.250
O12 O 0.070 0.328 0.250
O13 O 0.212 0.212 0.500
O14 O 0.159 0.841 0.547
O15 O 0.788 0.788 0.500
O16 O 0.212 0.212 0.000
Si1 Si 0.030 0.299 0.425
Si2 Si 0.299 0.030 0.925
Si3 Si 0.701 0.970 0.075
Si4 Si 0.970 0.701 0.575
Si5 Si 0.299 0.030 0.575
Si6 Si 0.030 0.299 0.075
Si7 Si 0.701 0.970 0.425
Si8 Si 0.970 0.701 0.925
```



Tm2Fe15Si2 | GGA-PBE | optimized geometry

magnetization = 59.57 μB per cell
total energy after the MP2020 corrections = -7.8223 eV/atom
space-group type = No. 194
total energy = -7.83 eV/atom

Cell and atoms, written as CIF:
```
data_Tm2Fe15Si2
_symmetry_space_group_name_H-M 'P 1'
_symmetry_Int_Tables_number 1
_cell_length_a 8.334
_cell_length_b 8.297
_cell_length_c 8.297
_cell_angle_alpha 120.00
_cell_angle_beta 90.00
_cell_angle_gamma 90.00
loop_
_symmetry_equiv_pos_as_xyz
'x,y,z'
loop_
_atom_site_label
_atom_site_type_symbol
_atom_site_fract_x
_atom_site_fract_y
_atom_site_fract_z
Si1 Si 0.102 0.333 0.667
Si2 Si 0.898 0.667 0.333
Si3 Si 0.398 0.333 0.667
Si4 Si 0.602 0.667 0.333
Fe1 Fe 0.511 0.667 0.833
Fe2 Fe 0.000 0.000 0.500
Fe3 Fe 0.011 0.333 0.167
Fe4 Fe 0.489 0.833 0.667
Fe5 Fe 0.250 0.331 0.360
Fe6 Fe 0.511 0.167 0.333
Fe7 Fe 0.750 0.360 0.029
Fe8 Fe 0.000 0.500 0.000
Fe9 Fe 0.750 0.669 0.640
Fe10 Fe 0.250 0.640 0.971
Fe11 Fe 0.500 0.000 0.500
Fe12 Fe 0.989 0.167 0.333
Fe13 Fe 0.250 0.029 0.360
Fe14 Fe 0.750 0.971 0.331
Fe15 Fe 0.011 0.833 0.667
Fe16 Fe 0.500 0.500 0.000
Fe17 Fe 0.989 0.167 0.833
Fe18 Fe 0.500 0.500 0.500
Fe19 Fe 0.489 0.333 0.167
Fe20 Fe 0.489 0.833 0.167
Fe21 Fe 0.250 0.029 0.669
Fe22 Fe 0.011 0.833 0.167
Fe23 Fe 0.989 0.667 0.833
Fe24 Fe 0.000 0.500 0.500
Fe25 Fe 0.750 0.360 0.331
Fe26 Fe 0.250 0.331 0.971
Fe27 Fe 0.750 0.971 0.640
Fe28 Fe 0.250 0.640 0.669
Fe29 Fe 0.750 0.669 0.029
Fe30 Fe 0.511 0.167 0.833
Tm1 Tm 0.250 0.000 0.000
Tm2 Tm 0.750 0.000 0.000
Tm3 Tm 0.750 0.333 0.667
Tm4 Tm 0.250 0.667 0.333
```



BaGd2ZnO5 | GGA-PBE | optimized geometry

magnetization = 55.99 μB per cell
total energy after the MP2020 corrections = -9.4309 eV/atom
space-group type = No. 62
total energy = -9.05 eV/atom

Cell and atoms, written as CIF:
```
data_BaGd2ZnO5
_symmetry_space_group_name_H-M 'P 1'
_symmetry_Int_Tables_number 1
_cell_length_a 5.820
_cell_length_b 7.235
_cell_length_c 12.586
_cell_angle_alpha 90.00
_cell_angle_beta 90.00
_cell_angle_gamma 90.00
loop_
_symmetry_equiv_pos_as_xyz
'x,y,z'
loop_
_atom_site_label
_atom_site_type_symbol
_atom_site_fract_x
_atom_site_fract_y
_atom_site_fract_z
O1 O 0.002 0.855 0.275
O2 O 0.498 0.645 0.775
O3 O 0.250 0.071 0.099
O4 O 0.998 0.145 0.725
O5 O 0.496 0.665 0.066
O6 O 0.496 0.835 0.566
O7 O 0.498 0.855 0.275
O8 O 0.002 0.645 0.775
O9 O 0.502 0.145 0.725
O10 O 0.502 0.355 0.225
O11 O 0.998 0.355 0.225
O12 O 0.250 0.429 0.599
O13 O 0.504 0.165 0.434
O14 O 0.004 0.665 0.066
O15 O 0.996 0.165 0.434
O16 O 0.750 0.929 0.901
O17 O 0.750 0.571 0.401
O18 O 0.996 0.335 0.934
O19 O 0.004 0.835 0.566
O20 O 0.504 0.335 0.934
Gd1 Gd 0.750 0.618 0.208
Gd2 Gd 0.250 0.118 0.292
Gd3 Gd 0.750 0.882 0.708
Gd4 Gd 0.250 0.382 0.792
Gd5 Gd 0.250 0.398 0.074
Gd6 Gd 0.750 0.602 0.926
Gd7 Gd 0.250 0.102 0.574
Gd8 Gd 0.750 0.898 0.426
Ba1 Ba 0.250 0.923 0.899
Ba2 Ba 0.750 0.077 0.101
Ba3 Ba 0.750 0.423 0.601
Ba4 Ba 0.250 0.577 0.399
Zn1 Zn 0.250 0.692 0.650
Zn2 Zn 0.750 0.192 0.850
Zn3 Zn 0.250 0.808 0.150
Zn4 Zn 0.750 0.308 0.350
```